This record from the Materials Project describes a geometry-optimized CsZr18P3I42 structure. The functional is PBE.

a b c (Å): 10.959 10.959 39.518
angles (deg): 89.96 89.96 95.64
Positions (direct):
Cs (0.500, 0.500, 0.167)
Cs (0.500, 0.500, 0.500)
Zr (0.138, 0.138, 0.132)
Zr (0.138, 0.138, 0.465)
Zr (0.139, 0.139, 0.799)
Zr (0.862, 0.862, 0.201)
Zr (0.862, 0.862, 0.535)
Zr (0.861, 0.861, 0.868)
Zr (0.362, 0.362, 0.299)
Zr (0.361, 0.361, 0.633)
Zr (0.361, 0.361, 0.966)
Zr (0.639, 0.639, 0.034)
Zr (0.638, 0.638, 0.368)
Zr (0.639, 0.639, 0.701)
Zr (0.042, 0.824, 0.129)
Zr (0.042, 0.824, 0.462)
Zr (0.044, 0.823, 0.796)
Zr (0.176, 0.958, 0.205)
Zr (0.176, 0.958, 0.538)
Zr (0.177, 0.956, 0.871)
Zr (0.677, 0.456, 0.296)
Zr (0.677, 0.456, 0.630)
Zr (0.677, 0.456, 0.962)
Zr (0.544, 0.323, 0.037)
Zr (0.544, 0.323, 0.370)
Zr (0.544, 0.323, 0.704)
Zr (0.958, 0.176, 0.205)
Zr (0.958, 0.176, 0.538)
Zr (0.956, 0.177, 0.871)
Zr (0.824, 0.042, 0.129)
Zr (0.824, 0.042, 0.462)
Zr (0.823, 0.044, 0.796)
Zr (0.323, 0.544, 0.037)
Zr (0.323, 0.544, 0.370)
Zr (0.323, 0.544, 0.704)
Zr (0.456, 0.677, 0.296)
Zr (0.456, 0.677, 0.630)
Zr (0.456, 0.677, 0.962)
P (0.500, 0.500, 0.000)
P (0.500, 0.500, 0.333)
P (0.500, 0.500, 0.667)
P (0.000, 0.000, 0.167)
P (0.000, 0.000, 0.500)
P (0.000, 0.000, 0.833)
I (0.901, 0.401, 0.250)
I (0.901, 0.401, 0.583)
I (0.901, 0.401, 0.917)
I (0.599, 0.099, 0.083)
I (0.599, 0.099, 0.417)
I (0.599, 0.099, 0.750)
I (0.099, 0.599, 0.083)
I (0.099, 0.599, 0.417)
I (0.099, 0.599, 0.750)
I (0.401, 0.901, 0.250)
I (0.401, 0.901, 0.583)
I (0.401, 0.901, 0.917)
I (0.287, 0.536, 0.250)
I (0.287, 0.536, 0.584)
I (0.288, 0.536, 0.917)
I (0.464, 0.713, 0.083)
I (0.464, 0.713, 0.416)
I (0.464, 0.712, 0.750)
I (0.964, 0.212, 0.083)
I (0.964, 0.212, 0.417)
I (0.964, 0.212, 0.750)
I (0.788, 0.036, 0.250)
I (0.788, 0.036, 0.583)
I (0.788, 0.036, 0.917)
I (0.713, 0.464, 0.083)
I (0.713, 0.464, 0.416)
I (0.712, 0.464, 0.750)
I (0.536, 0.287, 0.250)
I (0.536, 0.287, 0.584)
I (0.536, 0.288, 0.917)
I (0.036, 0.788, 0.250)
I (0.036, 0.788, 0.583)
I (0.036, 0.788, 0.917)
I (0.212, 0.964, 0.083)
I (0.212, 0.964, 0.417)
I (0.212, 0.964, 0.750)
I (0.249, 0.751, 0.167)
I (0.249, 0.751, 0.500)
I (0.250, 0.750, 0.833)
I (0.751, 0.250, 0.000)
I (0.751, 0.249, 0.333)
I (0.750, 0.249, 0.667)
I (0.751, 0.249, 0.167)
I (0.751, 0.249, 0.500)
I (0.750, 0.250, 0.833)
I (0.249, 0.751, 0.333)
I (0.249, 0.750, 0.667)
I (0.250, 0.751, 0.000)
I (0.116, 0.365, 0.169)
I (0.116, 0.365, 0.502)
I (0.116, 0.364, 0.836)
I (0.635, 0.884, 0.165)
I (0.635, 0.884, 0.498)
I (0.636, 0.884, 0.831)
I (0.136, 0.383, 0.003)
I (0.135, 0.383, 0.336)
I (0.136, 0.384, 0.669)
I (0.617, 0.865, 0.331)
I (0.617, 0.864, 0.664)
I (0.616, 0.864, 0.998)
I (0.884, 0.635, 0.165)
I (0.884, 0.635, 0.498)
I (0.884, 0.636, 0.831)
I (0.365, 0.116, 0.169)
I (0.365, 0.116, 0.502)
I (0.364, 0.116, 0.836)
I (0.865, 0.617, 0.331)
I (0.864, 0.617, 0.664)
I (0.864, 0.616, 0.998)
I (0.383, 0.136, 0.003)
I (0.383, 0.135, 0.336)
I (0.384, 0.136, 0.669)
I (0.343, 0.343, 0.087)
I (0.343, 0.343, 0.421)
I (0.346, 0.346, 0.755)
I (0.657, 0.657, 0.246)
I (0.657, 0.657, 0.579)
I (0.654, 0.654, 0.912)
I (0.153, 0.153, 0.255)
I (0.153, 0.153, 0.588)
I (0.154, 0.154, 0.921)
I (0.847, 0.847, 0.078)
I (0.847, 0.847, 0.412)
I (0.846, 0.846, 0.745)

Computed properties:
**Magnetization**: 1.53 μB/f.u.
**Energy of formation**: -1.291 eV/atom
**Density**: 5.06 g/cm³
**Space-group type**: C2/m (12)